(1)
This record from the Materials Project database describes Sr8Ni3N8 after structural relaxation. The functional is GGA-PBE.

Properties
Corrected total energy (MP2020 scheme): -5.7425 eV per atom

Cell lengths 18.443, 5.323, 7.456 Å; angles 90.00, 105.20, 90.00 degrees
Space group C2/m (No. 12)
One atom of each set of equivalent atoms:
Sr 0.030 0.000 0.260 (multiplicity 4)
Sr 0.097 0.500 0.960 (multiplicity 4)
Sr 0.170 0.500 0.480 (multiplicity 4)
Sr 0.201 0.000 0.815 (multiplicity 4)
Ni 0.000 0.500 0.500 (multiplicity 2)
Ni 0.187 0.000 0.206 (multiplicity 4)
N 0.026 0.500 0.288 (multiplicity 4)
N 0.103 0.000 0.004 (multiplicity 4)
N 0.177 0.000 0.440 (multiplicity 4)
N 0.220 0.500 0.835 (multiplicity 4)

---

(2)
This record from the Materials Project database describes Eu3Pt2 after structural relaxation. The functional is GGA-PBE.

Cell lengths 9.1948, 9.1948, 17.3360 Å; angles 90.00, 90.00, 120.00 degrees
Space group R-3 (No. 148, hexagonal axes)
One atom of each set of equivalent atoms:
Eu 0.0000 0.0000 0.0000 (multiplicity 3)
Eu 0.0000 0.0000 0.2022 (multiplicity 6)
Eu 0.0107 0.2608 0.5934 (multiplicity 18)
Pt 0.0219 0.6118 0.5683 (multiplicity 18)

---

| no. | E_tot (Ry per atom) | V (Å³ per cell) |
| --- | --- | --- |
| 1 | -0.411 | 706 |
| 2 | -0.696 | 1269 |